(1)
First-principles (PBE) data for a relaxed structure of In5Sb3, as listed in the Materials Project database.

The structure in POSCAR format:
```
In5Sb3
1.0
-4.0871 4.0871 6.8155
4.0871 -4.0871 6.8155
4.0871 4.0871 -6.8155
In Sb
10 6
Direct
0.0000 0.0000 0.0000
0.0075 0.5075 0.1972
0.1896 0.9925 0.5000
0.3104 0.8104 0.8028
0.4925 0.6896 0.5000
0.5000 0.5000 0.0000
0.5075 0.3104 0.5000
0.6896 0.1896 0.1972
0.8104 0.0075 0.5000
0.9925 0.4925 0.8028
0.1488 0.3512 0.5000
0.2500 0.2500 0.0000
0.3512 0.8512 0.2025
0.6488 0.1488 0.7975
0.7500 0.7500 0.0000
0.8512 0.6488 0.5000
```

Summary:
Raw total energy = -0.2375 Ry per atom
ΔH_f (0 K) = -36 meV/atom


(2)
First-principles (PBE) data for a relaxed structure of InSb, as listed in the Materials Project database.

The structure in POSCAR format:
```
InSb
1.0
3.0415 0.0000 0.0000
0.0000 6.1468 0.0000
0.0000 0.0000 3.1394
In Sb
1 1
Direct
0.0000 0.0000 0.0000
0.0000 0.5000 0.2550
```

Summary:
Raw total energy = -0.2467 Ry per atom
ΔH_f (0 K) = -13 meV/atom


(3)
First-principles (PBE) data for a relaxed structure of InSb, as listed in the Materials Project database.

The structure in POSCAR format:
```
InSb
1.0
-2.9447 2.9447 1.6364
2.9447 -2.9447 1.6364
2.9447 2.9447 -1.6364
In Sb
1 1
Direct
0.0000 0.0000 0.0000
0.7500 0.2500 0.5000
```

Summary:
Raw total energy = -0.2527 Ry per atom
ΔH_f (0 K) = -93 meV/atom


(4)
First-principles (PBE) data for a relaxed structure of InSbSe3, as listed in the Materials Project database.

The structure in POSCAR format:
```
InSbSe3
1.0
9.9937 0.0000 0.0000
0.0000 4.0870 0.0000
0.0000 0.0000 14.1039
In Sb Se
4 4 12
Direct
0.1476 0.2500 0.0466
0.3524 0.7500 0.5466
0.6476 0.2500 0.4534
0.8524 0.7500 0.9534
0.0280 0.2500 0.6373
0.4720 0.7500 0.1373
0.5280 0.2500 0.8627
0.9720 0.7500 0.3627
0.0028 0.2500 0.8821
0.1610 0.2500 0.4743
0.1879 0.7500 0.7033
0.3121 0.2500 0.2033
0.3390 0.7500 0.9743
0.4972 0.7500 0.3821
0.5028 0.2500 0.6179
0.6610 0.2500 0.0257
0.6879 0.7500 0.7967
0.8121 0.2500 0.2967
0.8390 0.7500 0.5257
0.9972 0.7500 0.1179
```

Summary:
Raw total energy = -0.2832 Ry per atom
ΔH_f (0 K) = -663 meV/atom


(5)
First-principles (PBE) data for a relaxed structure of In5SnSb3Te, as listed in the Materials Project database.

The structure in POSCAR format:
```
In5SnSb3Te
1.0
6.6807 0.0000 0.0000
3.3394 7.4481 0.0000
3.3363 0.0223 7.4635
In Sn Sb Te
5 1 3 1
Direct
0.0000 0.0000 0.0000
0.1776 0.4057 0.2022
0.3881 0.8106 0.3901
0.5964 0.2013 0.5793
0.7951 0.6162 0.7882
0.0433 0.1053 0.2926
0.2432 0.5082 0.4921
0.4359 0.9064 0.6915
0.8391 0.7064 0.0926
0.6389 0.3087 0.8911
```

Summary:
Raw total energy = -0.2532 Ry per atom
ΔH_f (0 K) = -157 meV/atom


(6)
First-principles (PBE) data for a relaxed structure of In4SbTe3, as listed in the Materials Project database.

The structure in POSCAR format:
```
In4SbTe3
1.0
6.2189 0.0000 0.0000
0.0001 6.2798 0.0000
3.1056 3.1376 6.2334
In Sb Te
4 1 3
Direct
0.0000 0.0000 0.0000
0.2404 0.7574 0.5031
0.4975 0.5071 0.0015
0.7520 0.2576 0.4949
0.9987 0.5034 0.9992
0.2449 0.2577 0.5005
0.4999 0.0096 0.9983
0.7449 0.7590 0.4959
```

Summary:
Raw total energy = -0.2421 Ry per atom
ΔH_f (0 K) = -381 meV/atom


(7)
First-principles (PBE) data for a relaxed structure of In4SbTe3, as listed in the Materials Project database.

The structure in POSCAR format:
```
In4SbTe3
1.0
4.4191 -6.2334 0.0000
4.4191 6.2334 0.0000
-4.3760 0.0000 4.4188
In Sb Te
4 1 3
Direct
0.0000 0.0000 0.0000
0.2507 0.7550 0.5041
0.5079 0.5079 0.0097
0.7550 0.2507 0.5041
0.0049 0.0049 0.5049
0.2526 0.7493 0.9955
0.4991 0.4991 0.5000
0.7493 0.2526 0.9955
```

Summary:
Raw total energy = -0.2424 Ry per atom
ΔH_f (0 K) = -385 meV/atom


(8)
First-principles (PBE) data for a relaxed structure of In3SbTe4, as listed in the Materials Project database.

The structure in POSCAR format:
```
In3SbTe4
1.0
-4.1701 4.1701 3.6066
4.1701 -4.1701 3.6066
4.1701 4.1701 -3.6066
In Sb Te
3 1 4
Direct
0.0000 0.0000 0.0000
0.0000 0.5000 0.5000
0.5000 0.0000 0.5000
0.5000 0.5000 0.0000
0.0590 0.5590 0.1181
0.4410 0.9410 0.8819
0.5590 0.4410 0.5000
0.9410 0.0590 0.5000
```

Summary:
Raw total energy = -0.2367 Ry per atom
ΔH_f (0 K) = -312 meV/atom


(9)
First-principles (PBE) data for a relaxed structure of In3SbTe2, as listed in the Materials Project database.

The structure in POSCAR format:
```
In3SbTe2
1.0
4.4281 0.0000 0.0000
-2.2140 3.8348 0.0000
0.0000 0.0000 10.7564
In Sb Te
3 1 2
Direct
0.0000 0.0000 0.0000
0.3333 0.6667 0.6569
0.6667 0.3333 0.3431
0.0000 0.0000 0.5000
0.3333 0.6667 0.1717
0.6667 0.3333 0.8283
```

Summary:
Energy above the most stable polymorph in this dataset = 0.016 eV per atom
Raw total energy = -0.2419 Ry per atom
ΔH_f (0 K) = -321 meV/atom


(10)
First-principles (PBE) data for a relaxed structure of In3SbTe2, as listed in the Materials Project database.

The structure in POSCAR format:
```
In3SbTe2
1.0
-2.2369 3.1260 6.5128
2.2369 -3.1260 6.5128
2.2369 3.1260 -6.5128
In Sb Te
3 1 2
Direct
0.0000 0.0000 0.0000
0.3390 0.3390 0.0000
0.6610 0.6610 0.0000
0.5000 0.0000 0.5000
0.1713 0.6713 0.5000
0.8287 0.3287 0.5000
```

Summary:
Energy above the most stable polymorph in this dataset = 0.000 eV per atom
Raw total energy = -0.2431 Ry per atom
ΔH_f (0 K) = -336 meV/atom


(11)
First-principles (PBE) data for a relaxed structure of In3SbTe2, as listed in the Materials Project database.

The structure in POSCAR format:
```
In3SbTe2
1.0
4.2356 0.0000 0.0000
0.0000 4.5852 0.0000
0.0000 0.0000 24.2516
In Sb Te
6 2 4
Direct
0.2500 0.2500 0.0646
0.2500 0.2500 0.3073
0.2500 0.2500 0.8086
0.7500 0.7500 0.1914
0.7500 0.7500 0.6927
0.7500 0.7500 0.9354
0.2500 0.2500 0.1849
0.7500 0.7500 0.8151
0.2500 0.2500 0.6822
0.2500 0.2500 0.9417
0.7500 0.7500 0.0583
0.7500 0.7500 0.3178
```

Summary:
Energy above the most stable polymorph in this dataset = 0.057 eV per atom
Raw total energy = -0.2389 Ry per atom
ΔH_f (0 K) = -280 meV/atom


(12)
First-principles (PBE) data for a relaxed structure of Zn9In2Sb6, as listed in the Materials Project database.

The structure in POSCAR format:
```
Zn9In2Sb6
1.0
7.2301 0.0000 0.0000
0.0000 17.4013 0.0000
0.0000 0.0000 26.3176
Zn In Sb
72 16 48
Direct
0.0151 0.0571 0.4334
0.0193 0.8040 0.5668
0.0346 0.6421 0.1474
0.0415 0.3878 0.8524
0.0571 0.4512 0.9395
0.0608 0.7046 0.0596
0.1035 0.4422 0.4586
0.1054 0.6846 0.8696
0.1095 0.5586 0.2902
0.1145 0.9414 0.1275
0.1158 0.3056 0.7097
0.1174 0.1890 0.5409
0.1185 0.9366 0.7937
0.1235 0.0601 0.9579
0.1248 0.4314 0.1314
0.1270 0.1871 0.2051
0.1294 0.1783 0.8683
0.1331 0.3078 0.0418
0.3669 0.6922 0.5418
0.3706 0.8217 0.3683
0.3730 0.8129 0.7051
0.3752 0.5686 0.6314
0.3765 0.9399 0.4579
0.3815 0.0634 0.2937
0.3826 0.8110 0.0409
0.3842 0.6944 0.2097
0.3855 0.0586 0.6275
0.3905 0.4414 0.7902
0.3946 0.3154 0.3696
0.3965 0.5578 0.9586
0.4392 0.2954 0.5596
0.4429 0.5488 0.4395
0.4585 0.6122 0.3524
0.4654 0.3579 0.6474
0.4807 0.1960 0.0668
0.4849 0.9429 0.9334
0.5151 0.4429 0.5666
0.5193 0.6960 0.4332
0.5346 0.8579 0.8526
0.5415 0.1122 0.1476
0.5571 0.0488 0.0605
0.5608 0.7954 0.9404
0.6035 0.0578 0.5414
0.6054 0.8154 0.1304
0.6095 0.9414 0.7098
0.6145 0.5586 0.8725
0.6158 0.1944 0.2903
0.6174 0.3110 0.4591
0.6185 0.5634 0.2063
0.6235 0.4399 0.0421
0.6248 0.0686 0.8686
0.6270 0.3129 0.7949
0.6294 0.3217 0.1317
0.6331 0.1922 0.9582
0.8669 0.8078 0.4582
0.8706 0.6783 0.6317
0.8730 0.6871 0.2949
0.8752 0.9314 0.3686
0.8765 0.5601 0.5421
0.8815 0.4366 0.7063
0.8826 0.6890 0.9591
0.8842 0.8056 0.7903
0.8855 0.4414 0.3725
0.8905 0.0586 0.2098
0.8946 0.1846 0.6304
0.8965 0.9422 0.0414
0.9392 0.2046 0.4404
0.9429 0.9512 0.5605
0.9585 0.8878 0.6476
0.9654 0.1421 0.3526
0.9807 0.3040 0.9332
0.9849 0.5571 0.0666
0.0129 0.6418 0.4186
0.0183 0.8675 0.2512
0.0236 0.6148 0.7467
0.0339 0.8787 0.9176
0.4661 0.1213 0.4176
0.4764 0.3852 0.2467
0.4817 0.1325 0.7512
0.4871 0.3582 0.9186
0.5129 0.8582 0.5814
0.5183 0.6325 0.7488
0.5236 0.8852 0.2533
0.5339 0.6213 0.0824
0.9661 0.3787 0.5824
0.9764 0.1148 0.7533
0.9817 0.3675 0.2488
0.9871 0.1418 0.0814
0.2229 0.0413 0.5286
0.2289 0.7920 0.1383
0.2314 0.9621 0.6965
0.2324 0.2984 0.4693
0.2342 0.7116 0.6384
0.2358 0.5376 0.8620
0.2383 0.7965 0.4716
0.2375 0.9661 0.3623
0.2394 0.2143 0.3029
0.2442 0.7144 0.3026
0.2470 0.5394 0.1972
0.2467 0.5433 0.5297
0.2533 0.4567 0.0297
0.2530 0.4606 0.6972
0.2558 0.2856 0.8026
0.2606 0.7857 0.8029
0.2625 0.0339 0.8623
0.2617 0.2035 0.9716
0.2642 0.4624 0.3620
0.2658 0.2884 0.1384
0.2676 0.7016 0.9693
0.2686 0.0379 0.1965
0.2711 0.2080 0.6383
0.2771 0.9587 0.0286
0.7229 0.4587 0.4714
0.7289 0.7080 0.8617
0.7314 0.5379 0.3035
0.7324 0.2016 0.5307
0.7342 0.7884 0.3616
0.7358 0.9624 0.1380
0.7375 0.5339 0.6377
0.7383 0.7035 0.5284
0.7394 0.2857 0.6971
0.7442 0.7856 0.6974
0.7467 0.9567 0.4703
0.7470 0.9606 0.8028
0.7530 0.0394 0.3028
0.7533 0.0433 0.9703
0.7558 0.2144 0.1974
0.7606 0.7143 0.1971
0.7617 0.2965 0.0284
0.7625 0.4661 0.1377
0.7642 0.0376 0.6380
0.7658 0.2116 0.8616
0.7676 0.7984 0.0307
0.7686 0.4621 0.8035
0.7711 0.2920 0.3617
0.7771 0.5413 0.9714
```

Summary:
Raw total energy = -0.1799 Ry per atom
ΔH_f (0 K) = -68 meV/atom